# 1
Compound: Li5V5Co2O12
Source: the Materials Project
Functional: PBE+U
Structure: optimized geometry

Cell lengths 5.1863, 5.1863, 9.8870 Å; angles 85.06, 85.06, 119.87 degrees
Closest atoms and distances in Å follow each position.
Atoms (fractional coordinates):
V: 0.5770 0.4230 0.0000  6 O 2.04-2.09
V: 0.0031 0.5138 0.7411  6 O 1.96-2.18
V: 0.4238 0.5762 0.5000  6 O 2.02-2.12
V: 0.9172 0.0828 0.0000  6 O 2.02-2.08
V: 0.4862 0.9969 0.2589  6 O 1.96-2.18
Li: 0.6824 0.8498 0.7359  4 O 2.02-2.18
Li: 0.3398 0.1640 0.7376  6 O 2.06-2.27
Li: 0.8360 0.6602 0.2624  6 O 2.06-2.27
Li: 0.0798 0.9202 0.5000  6 O 2.12-2.18
Li: 0.1502 0.3176 0.2641  4 O 2.02-2.18
O: 0.7161 0.5353 0.6254  2 V 1.99-2.12, 3 Li 2.06-2.12, 1 Co 2.10
O: 0.8531 0.3597 0.1191  3 V 2.06-2.15, 1 Co 2.18, 2 Li 2.22-2.27
O: 0.2186 0.0578 0.1185  3 V 2.04-2.16, 1 Co 2.10, 2 Li 2.18-2.27
O: 0.0580 0.2357 0.6217  2 V 2.02-2.05, 1 Co 2.08, 3 Li 2.08-2.15
O: 0.1526 0.6334 0.3715  2 V 1.96-2.08, 3 Li 2.02-2.18
O: 0.7643 0.9420 0.3783  2 V 2.02-2.05, 1 Co 2.08, 3 Li 2.08-2.15
O: 0.4647 0.2839 0.3746  2 V 1.99-2.12, 3 Li 2.06-2.12, 1 Co 2.10
O: 0.5559 0.7297 0.1178  3 V 2.02-2.18, 1 Co 2.10, 1 Li 2.25
O: 0.2703 0.4441 0.8822  3 V 2.02-2.18, 1 Co 2.10, 1 Li 2.25
O: 0.9422 0.7814 0.8815  3 V 2.04-2.16, 1 Co 2.10, 2 Li 2.18-2.27
O: 0.3666 0.8474 0.6285  2 V 1.96-2.08, 3 Li 2.02-2.18
O: 0.6403 0.1469 0.8809  3 V 2.06-2.15, 1 Co 2.18, 2 Li 2.22-2.27
Co: 0.7541 0.2459 0.5000  6 O 2.08-2.21
Co: 0.2475 0.7525 0.0000  6 O 2.10-2.18

- Total DFT energy (no corrections): -0.49404 Ry/atom
- SG: C2 (5)

# 2
Compound: Li4V5Co3O16
Source: the Materials Project
Functional: PBE+U
Structure: optimized geometry

Cell lengths 5.9012, 5.9161, 9.5599 Å; angles 90.72, 89.78, 119.74 degrees
Closest atoms and distances in Å follow each position.
Atoms (fractional coordinates):
O: 0.0093 0.0188 0.2960  1 Li 1.84, 1 V 1.87, 2 Co 1.98-1.99
O: 0.9544 0.4691 0.8464  2 V 1.89-2.09, 1 Li 1.98, 1 Co 2.08
O: 0.4684 0.5079 0.3550  2 V 1.90-2.04, 1 Li 1.96
O: 0.4775 0.9545 0.3559  1 V 1.81, 1 Li 1.98
O: 0.8263 0.1802 0.0899  1 V 1.78
O: 0.9983 0.0130 0.8040  1 Li 1.84, 2 V 1.91-1.96, 1 Co 2.03
O: 0.1707 0.3361 0.6016  3 V 1.97-2.20, 1 Li 2.03
O: 0.5225 0.0428 0.8416  3 V 1.97-2.10, 1 Li 2.00
O: 0.6596 0.3009 0.6017  2 V 1.88-1.98, 1 Li 1.96, 1 Co 2.08
O: 0.5005 0.4666 0.8392  1 V 1.80, 1 Li 1.99
O: 0.6537 0.8266 0.5895  1 V 1.83, 1 Li 2.03
O: 0.3556 0.1802 0.0866  1 V 1.80, 1 Li 2.00
O: 0.0428 0.5101 0.3565  2 V 1.91-2.04, 1 Li 1.96
O: 0.3169 0.6330 0.1039  1 V 1.86, 1 Li 1.97, 2 Co 2.01
O: 0.1831 0.8383 0.5944  1 V 1.86, 1 Li 2.05
O: 0.8233 0.6480 0.0808  1 V 1.81, 1 Li 1.99
V: 0.3539 0.7044 0.4875  3 O 1.81-1.86
V: 0.6691 0.3272 0.0016  3 O 1.78-1.81
V: 0.1806 0.3581 0.2287  4 O 1.86-1.91
V: 0.8326 0.1838 0.7199  5 O 1.88-2.07
V: 0.3458 0.1958 0.7183  4 O 1.80-1.98
Co: 0.8319 0.6569 0.7087  6 O 2.03-2.12
Co: 0.6564 0.8212 0.2099  6 O 1.99-2.19
Co: 0.1669 0.8230 0.2097  6 O 1.98-2.19
Li: 0.0003 0.0006 0.4880  4 O 1.84-2.05
Li: 0.0026 0.9996 0.9960  4 O 1.84-2.03
Li: 0.6681 0.3338 0.3978  4 O 1.96-1.98
Li: 0.3291 0.6695 0.8987  4 O 1.97-2.00

- Total DFT energy (no corrections): -0.49862 Ry/atom
- SG: P1 (1)

# 3
Compound: Li2V3CoO8
Source: the Materials Project
Functional: PBE+U
Structure: optimized geometry

Cell lengths 5.9586, 5.9630, 10.0444 Å; angles 89.55, 106.57, 120.20 degrees
Closest atoms and distances in Å follow each position.
Atoms (fractional coordinates):
O: 0.7346 0.5810 0.8758  1 Co 1.94, 2 V 1.98-2.01, 1 Li 1.99
O: 0.7468 0.1463 0.8817  1 Co 1.97, 2 V 1.99-2.01, 1 Li 2.01
O: 0.2654 0.4190 0.1242  1 Co 1.94, 2 V 1.98-2.01, 1 Li 1.99
O: 0.2522 0.6283 0.8927  3 V 1.94-2.03, 1 Li 1.96
O: 0.7170 0.0930 0.3804  2 V 1.89-2.09, 1 Co 1.98, 1 Li 2.00
O: 0.7273 0.8529 0.6070  3 V 1.94-2.03, 1 Li 1.96
O: 0.7477 0.3717 0.1072  3 V 1.94-2.04, 1 Li 1.96
O: 0.2933 0.1267 0.8804  2 V 1.90-2.09, 1 Co 1.98, 1 Li 2.03
O: 0.2532 0.8536 0.1183  1 Co 1.97, 2 V 1.99-2.01, 1 Li 2.01
O: 0.7066 0.8733 0.1195  2 V 1.90-2.09, 1 Co 1.98, 1 Li 2.03
O: 0.2735 0.3509 0.6249  1 Co 1.95, 2 V 1.98-2.01, 1 Li 2.01
O: 0.7153 0.3584 0.6178  1 Co 1.95, 2 V 1.99-2.01, 1 Li 2.01
O: 0.2831 0.9070 0.6196  2 V 1.89-2.09, 1 Co 1.98, 1 Li 2.00
O: 0.2848 0.6416 0.3823  1 Co 1.95, 2 V 1.99-2.01, 1 Li 2.01
O: 0.2728 0.1471 0.3930  3 V 1.94-2.03, 1 Li 1.96
O: 0.7266 0.6491 0.3752  1 Co 1.95, 2 V 1.98-2.01, 1 Li 2.01
V: 0.5000 0.9999 0.9999  6 O 1.90-2.02
V: 0.5000 0.5000 0.5000  6 O 1.94-1.99
V: 0.0000 0.0000 0.5000  6 O 2.01-2.09
V: 0.0000 0.5000 0.0000  6 O 1.94-1.99
V: 0.5001 0.0000 0.5000  6 O 1.89-2.03
V: 0.5000 0.5001 0.0000  6 O 2.01-2.09
Li: 0.8769 0.9310 0.8133  4 O 1.96-2.03
Li: 0.1231 0.0690 0.1867  4 O 1.96-2.03
Li: 0.1283 0.5586 0.6863  4 O 1.96-2.01
Li: 0.8717 0.4414 0.3137  4 O 1.96-2.01
Co: 0.5093 0.2457 0.7501  6 O 1.94-1.98
Co: 0.4907 0.7543 0.2499  6 O 1.94-1.98

- Total DFT energy (no corrections): -0.51226 Ry/atom
- SG: P-1 (2)

# 4
Compound: Li2V3CoO8
Source: the Materials Project
Functional: PBE+U
Structure: optimized geometry

Cell lengths 5.9407, 5.9423, 10.2759 Å; angles 89.35, 107.67, 119.58 degrees
Closest atoms and distances in Å follow each position.
Atoms (fractional coordinates):
O: 0.2879 0.6297 0.3890  2 V 1.87-2.08, 1 Li 1.97, 1 Co 2.08
O: 0.7102 0.8633 0.1033  2 V 1.87-2.02, 1 Li 2.03
O: 0.2638 0.3559 0.6219  1 Co 1.92, 1 Li 2.01, 2 V 2.01-2.02
O: 0.2917 0.1374 0.8811  2 V 1.94-2.00, 1 Co 1.98, 1 Li 2.03
O: 0.2570 0.6315 0.8884  1 Li 1.99, 3 V 2.01
O: 0.7592 0.6397 0.3972  1 Li 1.96, 2 V 1.97-1.98, 1 Co 2.09
O: 0.7437 0.8660 0.6106  1 Li 1.93, 3 V 2.00-2.02
O: 0.7194 0.5888 0.8809  2 V 1.94-2.00, 1 Co 1.98, 1 Li 2.03
O: 0.7460 0.1598 0.8819  2 V 1.94-2.01, 1 Co 1.99, 1 Li 2.05
O: 0.2592 0.1344 0.3939  1 Li 1.98, 3 V 2.01-2.02
O: 0.7387 0.3664 0.1051  3 V 2.01-2.02, 1 Li 2.06
O: 0.2377 0.8414 0.1026  2 V 1.88-2.03, 1 Li 2.05
O: 0.2626 0.3925 0.1031  2 V 1.87-2.02, 1 Li 2.03
O: 0.7048 0.3646 0.6258  1 Co 1.93, 2 V 1.96-2.04, 1 Li 2.02
O: 0.2631 0.9209 0.6258  1 Co 1.93, 2 V 1.97-2.03, 1 Li 2.02
O: 0.7594 0.1028 0.3898  2 V 1.87-2.07, 1 Li 1.98, 1 Co 2.08
V: 0.9974 0.0018 0.5009  6 O 1.87-2.01
V: 0.4990 0.5027 0.5009  6 O 1.87-2.02
V: 0.4922 0.4936 0.9962  6 O 1.87-2.02
V: 0.9982 0.5042 0.9964  6 O 1.88-2.02
V: 0.5022 0.0035 0.5058  6 O 2.02-2.08
V: 0.5026 0.9984 0.9962  6 O 1.87-2.03
Li: 0.1193 0.5635 0.6827  4 O 1.99-2.02
Li: 0.1266 0.0627 0.1894  4 O 1.98-2.05
Li: 0.8730 0.9364 0.8102  4 O 1.93-2.05
Li: 0.8813 0.4387 0.3186  4 O 1.96-2.06
Co: 0.5090 0.7462 0.2539  6 O 2.08-2.17
Co: 0.4948 0.2534 0.7485  6 O 1.92-1.99

- Total DFT energy (no corrections): -0.51246 Ry/atom
- SG: P1 (1)

# 5
Compound: Li2V3CoO8
Source: the Materials Project
Functional: PBE+U
Structure: optimized geometry

Cell lengths 8.3045, 8.3160, 8.3615 Å; angles 89.97, 89.75, 89.72 degrees
Closest atoms and distances in Å follow each position.
Atoms (fractional coordinates):
O: 0.6276 0.3570 0.1444  2 V 1.87-2.08, 1 Co 1.96, 1 Li 2.00
O: 0.8910 0.1117 0.6117  2 V 1.92-2.01, 1 Co 1.97, 1 Li 1.99
O: 0.6117 0.3802 0.6041  3 V 1.98-2.05, 1 Li 2.04
O: 0.1107 0.8884 0.6138  1 Co 1.96, 2 V 1.96-2.00, 1 Li 1.97
O: 0.3774 0.6075 0.6110  1 V 1.85, 1 Li 1.96, 1 Co 1.97
O: 0.8876 0.8838 0.3949  1 Co 1.94, 2 V 1.98-1.99, 1 Li 2.00
O: 0.6215 0.1127 0.8960  1 Co 1.94, 2 V 1.94-2.05, 1 Li 1.97
O: 0.8592 0.8651 0.8624  2 V 1.91-2.03, 1 Co 1.98, 1 Li 1.99
O: 0.1326 0.3625 0.6403  1 Co 1.95, 1 Li 1.95, 2 V 1.96-1.98
O: 0.1374 0.6433 0.3705  1 V 1.84, 1 Co 1.97, 1 Li 1.98
O: 0.1090 0.6118 0.8768  2 V 1.89-2.05, 1 Li 1.94, 1 Co 1.97
O: 0.3580 0.3668 0.8580  1 Co 1.96, 2 V 1.97-2.00, 1 Li 1.99
O: 0.3968 0.8816 0.8842  3 V 1.94-2.06, 1 Li 2.03
O: 0.3671 0.6393 0.1458  1 Co 1.93, 2 V 1.95-2.02, 1 Li 1.98
O: 0.6405 0.8641 0.6374  1 Co 1.96, 1 Li 1.98, 2 V 1.99
O: 0.3551 0.1418 0.6298  3 V 1.95-2.09, 1 Li 2.03
O: 0.1294 0.1422 0.8606  2 V 1.91-2.06, 1 Co 1.94, 1 Li 1.96
O: 0.8848 0.6172 0.1101  1 Li 1.99, 3 V 2.00-2.03
O: 0.8873 0.3870 0.8851  1 Li 1.95, 1 Co 1.96, 2 V 1.96-1.99
O: 0.6056 0.6112 0.3849  1 Co 1.93, 2 V 1.95-2.01, 1 Li 1.99
O: 0.1211 0.3870 0.1038  1 Co 1.93, 2 V 1.95-2.04, 1 Li 1.96
O: 0.6101 0.8893 0.1140  2 V 1.93-2.01, 1 Co 1.95, 1 Li 1.99
O: 0.1077 0.1066 0.3837  3 V 1.97-2.09, 1 Li 2.06
O: 0.8595 0.1342 0.1392  2 V 1.95-2.00, 1 Li 1.96, 1 Co 1.96
O: 0.8639 0.3618 0.3658  3 V 2.00-2.04, 1 Li 2.01
O: 0.1470 0.8694 0.1363  3 V 1.92-2.08, 1 Li 2.03
O: 0.3911 0.1119 0.1143  1 Co 1.94, 1 Li 1.97, 2 V 1.98-1.99
O: 0.3652 0.8609 0.3643  2 V 1.96-2.00, 1 Co 1.96, 1 Li 1.97
O: 0.6427 0.1331 0.3643  2 V 1.90-2.04, 1 Li 1.97, 1 Co 1.99
O: 0.8725 0.6447 0.6379  1 Co 1.92, 1 Li 1.95, 2 V 1.95-2.03
O: 0.3850 0.3900 0.3856  1 Co 1.96, 2 V 1.98-1.99, 1 Li 1.98
O: 0.6434 0.6341 0.8648  3 V 1.99-2.05, 1 Li 2.03
Li: 0.4952 0.4977 0.0024  4 O 1.98-2.03
Li: 0.7470 0.7516 0.2530  4 O 1.99-2.00
Li: 0.0017 0.5017 0.5044  4 O 1.95-2.01
Li: 0.9968 0.0043 0.9984  4 O 1.96-2.03
Li: 0.2526 0.2525 0.2459  4 O 1.96-2.06
Li: 0.5024 0.9978 0.4984  4 O 1.97-2.03
Li: 0.7535 0.2480 0.7529  4 O 1.95-2.04
Li: 0.2467 0.7482 0.7476  4 O 1.94-2.03
V: 0.3692 0.3853 0.6234  6 O 1.85-2.03
V: 0.1252 0.8646 0.3812  6 O 1.84-2.06
V: 0.1257 0.6205 0.1211  6 O 1.95-2.10
V: 0.8769 0.3739 0.1226  6 O 1.99-2.08
V: 0.6289 0.6257 0.6240  6 O 1.99-2.10
V: 0.6302 0.8805 0.8743  6 O 1.91-2.05
V: 0.1208 0.1274 0.6327  6 O 1.91-2.09
V: 0.3758 0.1283 0.8789  6 O 1.98-2.09
V: 0.8822 0.6224 0.8698  6 O 1.89-2.03
V: 0.3784 0.8733 0.1304  6 O 1.92-2.06
V: 0.8717 0.1220 0.3723  6 O 1.90-2.01
V: 0.6220 0.3778 0.3671  6 O 1.87-2.04
Co: 0.3741 0.6250 0.3760  6 O 1.93-1.97
Co: 0.8756 0.8753 0.6267  6 O 1.92-1.98
Co: 0.1230 0.3755 0.8731  6 O 1.93-1.97
Co: 0.6245 0.1224 0.1274  6 O 1.94-1.99

- Total DFT energy (no corrections): -0.51174 Ry/atom
- SG: P1 (1)

# 6
Compound: Li2V3CoO8
Source: the Materials Project
Functional: PBE+U
Structure: optimized geometry

Cell lengths 5.9157, 5.9155, 10.1678 Å; angles 88.29, 109.13, 119.22 degrees
Closest atoms and distances in Å follow each position.
Atoms (fractional coordinates):
V: 0.4998 0.9999 0.9999  6 O 1.91-2.00
V: 0.5000 0.5000 0.0001  6 O 2.01-2.06
V: 0.0000 0.5000 0.9999  6 O 1.91-2.00
V: 0.9999 0.0000 0.5000  6 O 1.92-2.00
V: 0.5000 0.5001 0.5000  6 O 1.92-2.00
V: 0.5000 0.0000 0.5000  6 O 2.01-2.06
O: 0.7089 0.8618 0.1225  2 V 1.91-2.06, 1 Co 1.96, 1 Li 2.01
O: 0.7411 0.1425 0.8838  1 Co 1.96, 2 V 2.00, 1 Li 2.01
O: 0.2588 0.8574 0.1161  1 Co 1.96, 2 V 2.00, 1 Li 2.01
O: 0.7456 0.8631 0.6083  1 Li 1.94, 3 V 1.99-2.01
O: 0.7411 0.6427 0.3839  1 Co 1.96, 2 V 2.00, 1 Li 2.01
O: 0.7386 0.0863 0.3774  2 V 1.92-2.05, 1 Co 1.96, 1 Li 2.01
O: 0.2590 0.3574 0.6162  1 Co 1.96, 2 V 2.00, 1 Li 2.01
O: 0.2610 0.4137 0.1224  2 V 1.92-2.05, 1 Co 1.96, 1 Li 2.01
O: 0.2910 0.6384 0.3774  2 V 1.92-2.06, 1 Co 1.96, 1 Li 2.01
O: 0.2545 0.6367 0.8917  1 Li 1.94, 3 V 1.99-2.01
O: 0.7389 0.5864 0.8776  2 V 1.91-2.05, 1 Co 1.96, 1 Li 2.01
O: 0.2615 0.9139 0.6226  2 V 1.92-2.05, 1 Co 1.96, 1 Li 2.01
O: 0.2910 0.1382 0.8775  2 V 1.91-2.06, 1 Co 1.96, 1 Li 2.01
O: 0.7090 0.3616 0.6226  2 V 1.92-2.06, 1 Co 1.96, 1 Li 2.01
O: 0.2545 0.1370 0.3918  1 Li 1.94, 3 V 1.99-2.01
O: 0.7454 0.3631 0.1082  1 Li 1.94, 3 V 1.99-2.01
Co: 0.5002 0.2498 0.7500  6 O 1.96
Co: 0.4998 0.7502 0.2500  6 O 1.96
Li: 0.8752 0.4367 0.3119  4 O 1.94-2.01
Li: 0.8754 0.9367 0.8122  4 O 1.94-2.01
Li: 0.1249 0.5632 0.6880  4 O 1.94-2.01
Li: 0.1246 0.0633 0.1879  4 O 1.94-2.01

- Total DFT energy (no corrections): -0.51169 Ry/atom